Record 1
Material: NaNb3
Method: DFT, PBE-GGA
State: optimized geometry

```
16
Lattice="6.7188 0.0000 0.0000 0.0000 6.7188 0.0000 0.0000 0.0000 6.7188" Properties=species:S:1:pos:R:3 pbc="T T T"
Na 0.0000 0.0000 0.0000
Na 0.0000 3.3594 3.3594
Na 3.3594 0.0000 3.3594
Na 3.3594 3.3594 0.0000
Nb 0.0000 0.0000 3.3594
Nb 0.0000 3.3594 0.0000
Nb 1.6797 1.6797 1.6797
Nb 1.6797 1.6797 5.0391
Nb 1.6797 5.0391 1.6797
Nb 1.6797 5.0391 5.0391
Nb 3.3594 0.0000 0.0000
Nb 3.3594 3.3594 3.3594
Nb 5.0391 1.6797 1.6797
Nb 5.0391 1.6797 5.0391
Nb 5.0391 5.0391 1.6797
Nb 5.0391 5.0391 5.0391
```

Results
- volume (Å³/cell) = 303.3
- SG = Fm-3m, No. 225
- ΔE_f (eV/atom) = 0.7403
- total magnetization (μB per formula unit) = 0.01

Record 2
Material: NaNdNb2O6
Method: DFT, PBE-GGA
State: optimized geometry

```
10
Lattice="0.0000 4.0459 4.0459 4.0459 0.0000 4.0459 4.0459 4.0459 0.0000" Properties=species:S:1:pos:R:3 pbc="T T T"
Na 0.0000 0.0000 0.0000
Nd 4.0459 4.0459 4.0459
Nb 2.0229 2.0229 2.0229
Nb 6.0688 6.0688 6.0688
O 2.0229 2.0229 0.0000
O 2.0229 0.0000 2.0229
O 4.0459 2.0229 2.0229
O 0.0000 2.0229 2.0229
O 2.0229 4.0459 2.0229
O 2.0229 2.0229 4.0459
```

Results
- volume (Å³/cell) = 132.5
- SG = Fm-3m, No. 225
- ΔE_f (eV/atom) = -2.9435
- total magnetization (μB per formula unit) = 0.01

Record 3
Material: Na2Nb4O11
Method: DFT, PBE-GGA
State: optimized geometry

```
34
Lattice="5.5088 -3.1256 0.0000 5.5088 3.1256 0.0000 -3.5889 0.0000 12.4537" Properties=species:S:1:pos:R:3 pbc="T T T"
Na 3.7144 1.6079 6.2268
Na 3.7793 1.5335 12.4389
Na 5.5088 -1.6079 0.0000
Na 5.5738 -1.5335 6.2120
Nb 3.6135 1.4854 0.0144
Nb 5.5788 2.3749 3.0433
Nb 1.8011 0.4489 9.4234
Nb 3.5955 -0.4489 3.1965
Nb 1.8190 -1.4854 6.2413
Nb 5.7820 0.4497 9.4186
Nb 7.5764 -0.4497 3.1917
Nb 3.7844 -2.3749 9.2701
O -1.3924 0.8425 11.3760
O 1.4459 0.7865 3.1619
O 2.4839 2.3059 9.3953
O 5.2861 2.2452 1.1819
O 3.7709 1.5761 3.5734
O 0.4020 -0.8425 5.1492
O 1.4936 0.5833 11.3625
O -0.3485 -0.7865 9.3887
O 1.8008 0.0877 7.4331
O 3.5953 -0.0877 1.2062
O 7.4415 1.5552 2.7571
O 3.2880 -0.5833 5.1356
O 5.5919 0.0404 3.1669
O 3.7974 -0.0404 9.3937
O 6.1327 0.6073 7.4339
O 1.9765 -1.5761 9.8002
O 5.8077 0.0612 11.3456
O 7.6021 -0.0612 5.1188
O 4.2783 -2.3059 3.1684
O 7.9271 -0.6073 1.2071
O 3.4917 -2.2452 7.4088
O 5.6471 -1.5552 8.9839
```

Results
- volume (Å³/cell) = 428.9
- SG = Cc, No. 9
- ΔE_f (eV/atom) = -2.9124
- total magnetization (μB per formula unit) = 0.00

Record 4
Material: Na3Nb6O11
Method: DFT, PBE-GGA
State: optimized geometry

```
20
Lattice="6.2124 0.0000 0.0000 -3.1062 5.3801 0.0000 0.0000 0.0000 8.0599" Properties=species:S:1:pos:R:3 pbc="T T T"
Na 0.0000 0.0000 0.0000
Na 0.0000 3.5867 0.5762
Na 3.1062 1.7934 7.4837
Nb 0.0000 1.6957 5.2141
Nb -1.6377 4.5323 5.2141
Nb 1.4685 0.8478 2.8458
Nb 1.6377 4.5323 5.2141
Nb 4.7439 0.8478 2.8458
Nb 3.1062 3.6844 2.8458
O -1.5531 2.6901 4.0299
O 0.0000 1.6264 1.6880
O -1.6977 4.5669 1.6880
O 1.4085 0.8132 6.3719
O 0.0000 3.5867 6.2941
O 3.1062 0.0000 4.0299
O 1.5531 2.6901 4.0299
O 3.1062 1.7934 1.7658
O 1.6977 4.5669 1.6880
O 4.8039 0.8132 6.3719
O 3.1062 3.7537 6.3719
```

Results
- volume (Å³/cell) = 269.4
- SG = P-3m1, No. 164
- ΔE_f (eV/atom) = -2.5399
- total magnetization (μB per formula unit) = 3.00

Record 5
Material: NaNb2O4
Method: DFT, PBE-GGA
State: optimized geometry

```
28
Lattice="5.1576 0.0000 0.0000 0.0000 12.1554 0.0000 0.0000 0.0000 5.9635" Properties=species:S:1:pos:R:3 pbc="T T T"
Na 0.9816 0.0435 1.4909
Na 0.9816 6.0342 4.4727
Na 4.1760 6.1212 1.4909
Na 4.1760 12.1119 4.4727
Nb 0.8187 9.0795 1.4909
Nb 0.8187 9.1536 4.4727
Nb 1.7759 3.0389 0.0000
Nb 1.7759 3.0389 2.9818
Nb 3.3817 9.1166 0.0000
Nb 3.3817 9.1166 2.9818
Nb 4.3389 3.0018 1.4909
Nb 4.3389 3.0759 4.4727
O 0.0450 1.7804 2.9980
O 0.0450 1.7804 5.9473
O 0.0450 4.2973 0.0162
O 0.0450 4.2973 2.9655
O 2.5117 7.8925 4.4727
O 2.5117 10.3407 1.4909
O 2.5585 7.8616 1.4909
O 2.5585 10.3715 4.4727
O 2.5991 1.7839 1.4909
O 2.5991 4.2938 4.4727
O 2.6459 1.8148 4.4727
O 2.6459 4.2629 1.4909
O 5.1126 7.8581 2.9980
O 5.1126 7.8581 5.9473
O 5.1126 10.3750 0.0162
O 5.1126 10.3750 2.9655
```

Results
- volume (Å³/cell) = 373.9
- SG = Pbcm, No. 57
- ΔE_f (eV/atom) = -2.6907

Record 6
Material: NaNb2O4
Method: DFT, PBE-GGA
State: optimized geometry

```
7
Lattice="3.0090 0.0000 0.0000 -1.5045 2.6059 0.0000 0.0000 0.0000 11.6045" Properties=species:S:1:pos:R:3 pbc="T T T"
Na 0.0000 0.0000 0.0000
Nb 0.0000 1.7373 8.6495
Nb 1.5045 0.8686 2.9550
O 0.0000 1.7373 1.6241
O 0.0000 1.7373 4.0972
O 1.5045 0.8686 7.5073
O 1.5045 0.8686 9.9805
```

Results
- volume (Å³/cell) = 91.0
- SG = P-3m1, No. 164
- ΔE_f (eV/atom) = -2.5857
- total magnetization (μB per formula unit) = 0.03

Record 7
Material: Na5NbO5
Method: DFT, PBE-GGA
State: optimized geometry

```
22
Lattice="3.1825 -5.1811 0.0000 3.1825 5.1811 0.0000 -2.8825 0.0000 9.7229" Properties=species:S:1:pos:R:3 pbc="T T T"
Na -0.5030 1.1813 5.3551
Na 1.0207 3.4457 7.2922
Na -0.5123 1.6441 8.9736
Na 0.9383 -1.1813 0.4937
Na 0.9290 -1.6441 4.1122
Na 2.5536 1.6441 5.6107
Na 2.5443 1.1813 9.2292
Na 3.9948 -1.6441 0.7493
Na 2.4619 -3.4457 2.4307
Na 3.9855 -1.1813 4.3678
Nb 2.4619 0.9575 2.4307
Nb 1.0207 -0.9575 7.2922
O 0.9933 1.1131 1.0111
O 1.2371 1.7763 3.7064
O -0.4479 -1.1131 5.8725
O 1.0207 0.9640 7.2922
O 3.6867 1.7763 1.1551
O -0.2042 -1.7763 8.5679
O 2.4619 -0.9640 2.4307
O 3.9305 1.1131 3.8504
O 2.2455 -1.7763 6.0165
O 2.4893 -1.1131 8.7118
```

Results
- volume (Å³/cell) = 320.6
- SG = C2/c, No. 15
- ΔE_f (eV/atom) = -2.2377

Record 8
Material: Na3NbO4
Method: DFT, PBE-GGA
State: optimized geometry

```
32
Lattice="5.6337 -6.5914 0.0000 5.6337 6.5914 0.0000 -1.9285 0.0000 5.4901" Properties=species:S:1:pos:R:3 pbc="T T T"
Na 0.0000 0.0000 0.0000
Na 1.8526 3.2957 2.7450
Na 4.6695 4.9581 2.7450
Na 0.9908 1.6605 5.3748
Na 5.6337 3.4153 0.0000
Na 0.9908 -1.6605 5.3748
Na 1.8526 -3.2957 2.7450
Na 5.6337 0.0000 0.0000
Na 8.3481 1.6605 0.1153
Na 5.6337 -3.4153 0.0000
Na 8.3481 -1.6605 0.1153
Na 4.6695 -4.9581 2.7450
Nb 1.7948 0.0000 2.5653
Nb 4.6695 1.7620 2.7450
Nb 4.6695 -1.7620 2.7450
Nb 7.5442 0.0000 2.9248
O 1.1277 1.4258 1.4603
O 0.3939 0.0000 3.8724
O 3.9391 3.0160 1.4997
O 1.1277 -1.4258 1.4603
O 2.9509 1.4734 3.7862
O 5.3998 3.0160 3.9904
O 3.7817 0.0000 1.6550
O 2.9509 -1.4734 3.7862
O 6.3881 1.4734 1.7038
O 5.5572 0.0000 3.8351
O 3.9391 -3.0160 1.4997
O 6.3881 -1.4734 1.7038
O 8.2113 1.4258 4.0297
O 5.3998 -3.0160 3.9904
O 8.9450 0.0000 1.6177
O 8.2113 -1.4258 4.0297
```

Results
- volume (Å³/cell) = 407.7
- SG = C2/m, No. 12
- ΔE_f (eV/atom) = -2.5119

Record 9
Material: NaNb13O33
Method: DFT, PBE-GGA
State: optimized geometry

```
47
Lattice="11.5066 -1.9133 0.0000 11.5066 1.9133 0.0000 -0.4184 0.0000 15.6866" Properties=species:S:1:pos:R:3 pbc="T T T"
Na 0.0000 0.0000 0.0000
Nb 4.7454 0.0000 1.9800
Nb 6.1892 0.0000 5.6950
Nb 7.7181 0.0000 9.3533
Nb 8.3387 0.0000 0.5085
Nb 9.1941 0.0000 12.9463
Nb 9.7489 0.0000 4.2777
Nb 11.2974 0.0000 7.8433
Nb 12.8460 0.0000 11.4089
Nb 13.4008 0.0000 2.7403
Nb 14.2561 0.0000 15.1782
Nb 14.8767 0.0000 6.3334
Nb 16.4057 0.0000 9.9917
Nb 17.8495 0.0000 13.7066
O -0.2092 0.0000 7.8433
O 1.2716 0.0000 11.8479
O 2.4591 0.0000 2.5681
O 3.1018 0.0000 15.6388
O 3.9578 0.0000 6.2946
O 5.2639 0.0000 3.7120
O 5.4776 0.0000 9.9902
O 6.3664 0.0000 1.0922
O 6.8423 0.0000 7.4127
O 6.9304 0.0000 13.9301
O 7.8616 0.0000 4.7822
O 8.2784 0.0000 11.1740
O 9.1419 0.0000 2.1087
O 9.4088 0.0000 8.5950
O 9.5230 0.0000 14.9840
O 10.5319 0.0000 5.9731
O 10.9104 0.0000 12.3921
O 11.6845 0.0000 3.2946
O 12.0630 0.0000 9.7135
O 13.0719 0.0000 0.7027
O 13.1861 0.0000 7.0916
O 13.4529 0.0000 13.5779
O 14.3165 0.0000 4.5126
O 14.7333 0.0000 10.9044
O 15.6645 0.0000 1.7565
O 15.7525 0.0000 8.2739
O 16.2285 0.0000 14.5944
O 17.1173 0.0000 5.6965
O 17.3310 0.0000 11.9746
O 18.6371 0.0000 9.3921
O 19.4931 0.0000 0.0478
O 20.1358 0.0000 13.1185
O 21.3233 0.0000 3.8388
```

Results
- volume (Å³/cell) = 690.7
- SG = C2/m, No. 12
- ΔE_f (eV/atom) = -3.0409

Record 10
Material: Na8Nb5O14
Method: DFT, PBE-GGA
State: optimized geometry

```
54
Lattice="8.6660 0.0000 0.0000 -3.4005 8.0673 0.0000 -1.9631 -3.7161 9.9765" Properties=species:S:1:pos:R:3 pbc="T T T"
Na 0.0000 0.0000 0.0000
Na -3.3668 4.8080 4.7872
Na -3.3950 1.6756 9.2596
Na -1.2659 2.4515 3.8283
Na 0.6004 -0.1329 3.2376
Na -2.9303 4.4729 7.9436
Na -0.8222 5.4318 3.0304
Na 3.1271 -0.2695 1.1125
Na 1.6512 2.1756 4.9882
Na 0.1753 4.6207 8.8639
Na 4.1246 -1.0806 6.9460
Na 6.2327 -0.1218 2.0329
Na 2.7020 4.4840 6.7389
Na 4.5683 1.8997 6.1482
Na 6.6974 2.6756 0.7169
Na 6.6692 -0.4568 5.1892
Nb -1.5283 -0.9752 8.5487
Nb -0.9544 2.0833 7.0778
Nb 1.1972 2.6553 1.5512
Nb 1.0961 -0.7277 6.4041
Nb 1.8224 5.0570 0.2873
Nb 1.4799 -0.7058 9.6892
Nb 2.2063 5.0788 3.5724
Nb 2.1052 1.6959 8.4253
Nb 4.2567 2.2678 2.8987
Nb 4.8307 5.3264 1.4277
O -2.3400 0.5770 7.3342
O -0.3872 1.4412 1.8694
O -2.2919 6.4070 1.4512
O -0.6193 -1.7790 6.7724
O -2.0116 3.2107 6.0501
O -0.0391 3.8835 0.2635
O -0.1071 0.8267 5.5730
O -0.2252 -2.1931 9.7086
O 1.6049 -1.5432 4.8369
O -1.3352 2.7603 8.9343
O 0.2123 0.4225 8.2514
O 0.7507 3.6976 3.3433
O 2.4654 1.3958 2.7753
O 2.0224 -1.7599 7.8476
O 1.2800 6.1110 2.1288
O 0.8370 2.9553 7.2011
O 2.5517 0.6536 6.6332
O 3.0901 3.9286 1.7251
O 4.6376 1.5909 1.0421
O 1.6974 5.8944 5.1396
O 3.5275 6.5443 0.2679
O 3.4095 3.5244 4.4034
O 3.3415 0.4676 9.7129
O 5.3139 1.1405 3.9263
O 3.9217 6.1302 3.2041
O 5.5943 -2.0558 8.5252
O 3.6896 2.9100 8.1070
O 5.6424 3.7742 2.6423
```

Results
- volume (Å³/cell) = 697.5
- SG = P-1, No. 2
- ΔE_f (eV/atom) = -2.4853
- total magnetization (μB per formula unit) = 1.00

Record 11
Material: Na12NbO7
Method: DFT, PBE-GGA
State: optimized geometry

```
20
Lattice="6.0122 3.4711 2.8930 -6.0122 3.4711 2.8930 0.0000 -6.9423 2.8930" Properties=species:S:1:pos:R:3 pbc="T T T"
Na -0.3752 -1.6125 1.5514
Na -1.2089 1.1311 1.5514
Na -2.3556 -2.3036 4.1949
Na -3.1728 0.8883 4.4840
Na 1.5840 0.4813 1.5514
Na 0.8171 -3.1918 4.4840
Na -0.8171 3.1918 4.1949
Na -1.5840 -0.4813 7.1275
Na 3.1728 -0.8883 4.1949
Na 2.3556 2.3036 4.4840
Na 1.2089 -1.1311 7.1275
Na 0.3751 1.6125 7.1275
Nb 0.0000 0.0000 4.3394
O 0.0000 0.0000 0.0000
O -1.6612 -0.4234 3.1606
O 1.1973 -1.2270 3.1606
O 0.4639 1.6504 3.1606
O -0.4639 -1.6504 5.5183
O -1.1973 1.2270 5.5183
O 1.6612 0.4234 5.5183
```

Results
- volume (Å³/cell) = 362.2
- SG = R-3, No. 148
- ΔE_f (eV/atom) = -1.5639
- total magnetization (μB per formula unit) = 0.52

Record 12
Material: Na7NbO6
Method: DFT, PBE-GGA
State: optimized geometry

```
14
Lattice="3.2396 1.8704 5.2385 -3.2396 1.8704 5.2385 0.0000 -3.7407 5.2385" Properties=species:S:1:pos:R:3 pbc="T T T"
Na 0.0000 0.0000 0.0000
Na -1.2354 -2.2429 8.6042
Na -1.7262 0.1040 6.7288
Na 0.7730 -1.5469 6.7288
Na -1.3247 2.1913 8.6043
Na 0.9532 1.4429 6.7288
Na 2.5601 0.0515 8.6042
Nb 0.0000 0.0000 10.2729
O -1.6883 -0.0199 9.1262
O -1.0520 -1.4010 11.4495
O 0.8614 -1.4522 9.1262
O -0.6874 1.6116 11.4495
O 0.8269 1.4721 9.1262
O 1.7393 -0.2105 11.4495
```

Results
- volume (Å³/cell) = 190.4
- SG = R3, No. 146
- ΔE_f (eV/atom) = -1.9733
- total magnetization (μB per formula unit) = 0.00

Record 13
Material: Na2Nb4O11
Method: DFT, PBE-GGA
State: optimized geometry

```
34
Lattice="3.1540 1.8210 12.4195 -3.1540 1.8210 12.4195 0.0000 -3.6419 12.4195" Properties=species:S:1:pos:R:3 pbc="T T T"
Na 0.0000 0.0000 6.2421
Na 0.0000 0.0000 12.3872
Na 0.0000 0.0000 24.8714
Na 0.0000 0.0000 31.0164
Nb 0.0000 0.0000 0.0000
Nb -2.0098 0.1609 15.5244
Nb -1.1442 -1.6601 21.7342
Nb 0.8655 -1.8210 15.5244
Nb 0.0000 0.0000 18.6293
Nb -0.8655 1.8210 21.7341
Nb 1.1442 1.6601 15.5244
Nb 2.0098 -0.1609 21.7341
O -1.5573 0.0000 9.3147
O -2.1831 0.4799 13.5998
O 0.0000 0.0000 3.5471
O -1.6468 0.1703 17.4491
O -1.5072 -1.6507 23.6588
O 0.7787 -1.3487 9.3146
O -0.9709 -1.3411 19.8095
O 0.6760 -2.1306 13.5998
O 0.0000 0.0000 15.0822
O 0.6760 -1.5113 17.4491
O 0.7787 1.3487 9.3146
O -0.7787 -1.3487 27.9439
O -0.6760 1.5113 19.8095
O 0.0000 0.0000 22.1764
O -0.6760 2.1306 23.6588
O 0.9709 1.3411 17.4490
O -0.7787 1.3487 27.9439
O 1.5072 1.6507 13.5997
O 1.6468 -0.1703 19.8095
O 0.0000 0.0000 33.7115
O 2.1831 -0.4799 23.6588
O 1.5573 0.0000 27.9439
```

Results
- volume (Å³/cell) = 428.0
- SG = R-3c, No. 167
- ΔE_f (eV/atom) = -2.9035
- total magnetization (μB per formula unit) = 0.00